(1)
# SmCoSi, relaxed, DFT r2SCAN
data_SmCoSi
_chemical_formula_sum 'Sm2 Co2 Si2'
_cell_length_a 4.028
_cell_length_b 4.028
_cell_length_c 6.796
_cell_angle_alpha 90.00
_cell_angle_beta 90.00
_cell_angle_gamma 90.00
_symmetry_space_group_name_H-M 'P 4/n m m'
_symmetry_Int_Tables_number 129
loop_
_symmetry_equiv_pos_as_xyz
'x,y,z'
'-x,-y,-z'
'-y+1/2,x,z'
'y+1/2,-x,-z'
'-x+1/2,-y+1/2,z'
'x+1/2,y+1/2,-z'
'y,-x+1/2,z'
'-y,x+1/2,-z'
'x+1/2,-y,-z'
'-x+1/2,y,z'
'-y,-x,-z'
'y,x,z'
'-x,y+1/2,-z'
'x,-y+1/2,z'
'y+1/2,x+1/2,-z'
'-y+1/2,-x+1/2,z'
loop_
_atom_site_label
_atom_site_fract_x
_atom_site_fract_y
_atom_site_fract_z
Sm1 0.250 0.250 0.188
Co1 0.250 0.750 0.500
Si1 0.250 0.250 0.671
# - electronic total energy (eV/atom) = -17.93
# - magnetic moment (μB per cell) = 0.81
# - formation energy (meV/atom) = -684
# - V (Å³/cell) = 110.25
# - density (kg/m³) = 7151



(2)
# SmCoSi3, relaxed, DFT r2SCAN
data_SmCoSi3
_chemical_formula_sum 'Sm2 Co2 Si6'
_cell_length_a 4.082
_cell_length_b 4.082
_cell_length_c 9.538
_cell_angle_alpha 90.00
_cell_angle_beta 90.00
_cell_angle_gamma 90.00
_symmetry_space_group_name_H-M 'I 4 m m'
_symmetry_Int_Tables_number 107
_symmetry_space_group_name_Hall 'I 4 -2'
loop_
_atom_site_label
_atom_site_fract_x
_atom_site_fract_y
_atom_site_fract_z
Sm1 0.000 0.000 0.000
Co1 0.000 0.000 0.657
Si1 0.000 0.000 0.424
Si2 0.000 0.500 0.257
# - electronic total energy (eV/atom) = -14.49
# - magnetic moment (μB per cell) = 0.00
# - formation energy (meV/atom) = -628
# - V (Å³/cell) = 158.94
# - density (kg/m³) = 6134



(3)
# SmCo2Si2, relaxed, DFT r2SCAN
data_SmCo2Si2
_chemical_formula_sum 'Sm2 Co4 Si4'
_cell_length_a 3.893
_cell_length_b 3.893
_cell_length_c 9.847
_cell_angle_alpha 90.00
_cell_angle_beta 90.00
_cell_angle_gamma 90.00
_symmetry_space_group_name_H-M 'I 4/m m m'
_symmetry_Int_Tables_number 139
_symmetry_space_group_name_Hall '-I 4 2'
loop_
_atom_site_label
_atom_site_fract_x
_atom_site_fract_y
_atom_site_fract_z
Sm1 0.000 0.000 0.000
Co1 0.000 0.500 0.250
Si1 0.000 0.000 0.368
# - electronic total energy (eV/atom) = -15.48
# - magnetic moment (μB per cell) = 0.00
# - formation energy (meV/atom) = -734
# - V (Å³/cell) = 149.24
# - density (kg/m³) = 7219